# Ga3Si5P10H36C12N4Cl11

A relaxed structure of Ga3Si5P10H36C12N4Cl11 (PBE, the Materials Project).

DFT formation energy (eV per atom): -0.478
Uncorrected energy (Ry/atom): -0.3710

a = 14.2695 Å, b = 26.2071 Å, c = 15.2691 Å
α = 90.00°, β = 92.65°, γ = 90.00°
Last column: nearest neighbours and their distance in Å.
Space group P2_1/c (No. 14)
One atom of each set of equivalent atoms:
Ga  0.2008  0.1742  0.1090 x4  4 Cl 2.16-2.37
Ga  0.2428  0.5429  0.2093 x4  4 Cl 2.20-2.23
Ga  0.2630  0.1872  0.3597 x4  4 Cl 2.16-2.35
Si  0.1565  0.5142  0.7960 x4  1 N 1.83, 3 C 1.86
Si  0.1876  0.7414  0.7355 x4  1 N 1.81, 3 C 1.86-1.87
Si  0.2671  0.6231  0.7566 x4  4 N 1.76
Si  0.3228  0.6030  0.5499 x4  1 N 1.82, 3 C 1.86-1.87
Si  0.4025  0.6354  0.9381 x4  1 N 1.82, 3 C 1.86-1.87
P  0.0235  0.6479  0.9021 x4  3 P 2.19-2.26
P  0.0318  0.1302  0.7957 x4  3 P 2.19-2.26
P  0.0801  0.1857  0.6936 x4  3 P 2.19-2.26
P  0.0922  0.1037  0.6695 x4  3 P 2.19-2.26
P  0.0996  0.6326  0.7836 x4  2 N 1.68
P  0.3633  0.1249  0.7178 x4  3 P 2.18-2.26
P  0.3854  0.1130  0.8587 x4  3 P 2.18-2.26
P  0.4362  0.6190  0.7335 x4  2 N 1.68-1.69
P  0.4558  0.0598  0.7653 x4  3 P 2.19-2.26
P  0.4611  0.1779  0.7949 x4  3 P 2.19-2.26
H  0.0190  0.5093  0.6894 x4  1 C 1.10
H  0.0196  0.5120  0.8924 x4  1 C 1.10
H  0.0329  0.7490  0.6523 x4  1 C 1.10
H  0.0706  0.0510  0.2098 x4  1 C 1.10
H  0.0801  0.7270  0.3489 x4  1 C 1.10
H  0.0976  0.0394  0.4115 x4  1 C 1.10
H  0.1123  0.7020  0.1262 x4  1 C 1.10
H  0.1259  0.0080  0.1389 x4  1 C 1.10
H  0.1256  0.7359  0.5810 x4  1 C 1.10
H  0.1279  0.5212  0.9556 x4  1 C 1.10
H  0.1594  0.6368  0.5448 x4  1 C 1.10
H  0.1603  0.5690  0.5593 x4  1 C 1.10
H  0.1668  0.6819  0.3230 x4  1 C 1.10
H  0.1801  0.5958  0.4554 x4  1 C 1.10
H  0.1979  0.7343  0.3928 x4  1 C 1.10
H  0.2446  0.6055  0.9795 x4  1 C 1.10
H  0.2470  0.6735  0.9657 x4  1 C 1.10
H  0.2742  0.0539  0.3136 x4  1 C 1.10
H  0.2991  0.6444  0.0612 x4  1 C 1.10
H  0.3145  0.0063  0.2424 x4  1 C 1.10
H  0.3188  0.5039  0.8590 x4  1 C 1.10
H  0.3203  0.7034  0.2020 x4  1 C 1.10
H  0.3315  0.7365  0.6494 x4  1 C 1.10
H  0.3451  0.6938  0.5091 x4  1 C 1.10
H  0.3473  0.5090  0.5523 x4  1 C 1.10
H  0.3610  0.7434  0.7641 x4  1 C 1.10
H  0.3624  0.6515  0.4199 x4  1 C 1.10
H  0.3703  0.5365  0.4491 x4  1 C 1.10
H  0.4325  0.7286  0.9227 x4  1 C 1.10
H  0.4363  0.5437  0.9679 x4  1 C 1.10
H  0.4527  0.6593  0.5022 x4  1 C 1.10
H  0.4554  0.5418  0.5371 x4  1 C 1.10
H  0.4571  0.0787  0.5447 x4  1 C 1.10
H  0.4596  0.1939  0.5717 x4  1 C 1.10
H  0.4787  0.7037  0.0243 x4  1 C 1.10
H  0.4812  0.5843  0.0528 x4  1 C 1.10
C  0.0867  0.0105  0.1990 x4  3 H 1.10
C  0.0942  0.5018  0.8985 x4  3 H 1.10
C  0.1067  0.7430  0.1399 x4  3 H 1.10
C  0.1545  0.7227  0.3348 x4  3 H 1.10
C  0.1935  0.6011  0.5263 x4  3 H 1.10
C  0.2777  0.0125  0.3032 x4  3 H 1.10
C  0.2870  0.6402  0.9900 x4  3 H 1.10
C  0.3118  0.7448  0.2102 x4  3 H 1.10
C  0.3762  0.6572  0.4907 x4  3 H 1.10
C  0.3797  0.5418  0.5204 x4  3 H 1.10
C  0.4697  0.6960  0.9536 x4  3 H 1.10
C  0.4724  0.5801  0.9812 x4  3 H 1.10
N  0.1738  0.5827  0.7817 x4  1 P 1.68, 2 Si 1.76-1.83
N  0.1849  0.6733  0.7567 x4  1 P 1.68, 2 Si 1.76-1.81
N  0.3386  0.6133  0.6673 x4  1 P 1.69, 2 Si 1.76-1.82
N  0.3716  0.6265  0.8220 x4  1 P 1.68, 2 Si 1.76-1.82
Cl  0.0686  0.1926  0.0392 x4  1 Ga 2.18
Cl  0.1176  0.5895  0.1777 x4  1 Ga 2.20
Cl  0.1493  0.1615  0.2526 x4  2 Ga 2.35-2.37
Cl  0.2154  0.0103  0.8189 x4  1 Ga 2.23
Cl  0.2182  0.1458  0.4743 x4  1 Ga 2.18
Cl  0.2459  0.2301  0.8684 x4  1 Ga 2.18
Cl  0.2591  0.1015  0.0710 x4  1 Ga 2.17
Cl  0.2775  0.0044  0.5956 x4  1 Ga 2.21
Cl  0.2996  0.2366  0.1203 x4  1 Ga 2.16
Cl  0.3621  0.5926  0.2484 x4  1 Ga 2.20
Cl  0.3979  0.1621  0.3178 x4  1 Ga 2.16